No. 1
Na2Hf2Si3Ge2S3O24 | PBE-GGA | relaxed

a b c (Å): 8.6828 8.7709 22.6811
angles (deg): 87.18 88.70 60.46
Closest atoms and distances in Å follow each position.
Sites, in units of the cell vectors:
Na1 0.0000 0.0000 0.0000  5 O 2.48-2.72
Na2 0.0144 0.9767 0.5115  4 O 2.42-2.71
Na3 0.3309 0.3366 0.3341  5 O 2.41-2.62
Na4 0.3488 0.3147 0.8374  5 O 2.39-2.59
Na5 0.6681 0.6743 0.6778  5 O 2.41-2.60
Na6 0.6948 0.6451 0.1619  4 O 2.31-2.54
Hf1 0.0055 0.0104 0.1448  5 O 1.93-2.11
Hf2 0.0236 0.9974 0.3557  6 O 1.97-2.17
Hf3 0.3483 0.3346 0.9777  6 O 1.99-2.11
Hf4 0.3514 0.3409 0.4906  5 O 1.92-2.14
Hf5 0.6839 0.6782 0.5338  5 O 1.95-2.12
Hf6 0.7094 0.6482 0.3139  4 O 1.91-2.06
Si1 0.0376 0.2863 0.2487  4 O 1.60-1.66
Si2 0.0582 0.6230 0.0839  4 O 1.60-1.66
Si3 0.3006 0.9946 0.7551  4 O 1.64-1.69
Si4 0.3447 0.6140 0.5956  4 O 1.62-1.64
Si5 0.6204 0.3525 0.0848  4 O 1.59-1.70
Si6 0.6544 0.0447 0.5941  4 O 1.62-1.65
Si7 0.6936 0.9434 0.9194  4 O 1.62-1.67
Si8 0.9600 0.3832 0.9148  4 O 1.62-1.66
Si9 0.9853 0.6582 0.4219  4 O 1.62-1.64
Ge1 0.0092 0.0226 0.8616  4 O 1.78-1.99
Ge2 0.0369 0.9693 0.6531  4 O 1.81-1.90
Ge3 0.3281 0.3393 0.1773  4 O 1.74-1.93
Ge4 0.3814 0.2985 0.6928  4 O 1.75-1.96
Ge5 0.6732 0.6975 0.8225  3 O 1.74-1.87
Ge6 0.7333 0.6286 0.0216  4 O 1.76-1.87
S1 0.0182 0.7028 0.7561  4 O 1.46-1.53
S2 0.0647 0.3195 0.5929  4 O 1.46-1.50
S3 0.3096 0.7004 0.2541  4 O 1.46-1.51
S4 0.3613 0.0386 0.0885  4 O 1.45-1.52
S5 0.3950 0.6756 0.9181  4 O 1.46-1.50
S6 0.3972 0.9531 0.4204  4 O 1.47-1.49
S7 0.6877 0.3698 0.4224  4 O 1.45-1.49
S8 0.7169 0.0092 0.2539  4 O 1.44-1.50
S9 0.7311 0.2822 0.7532  4 O 1.46-1.54
O1 0.0028 0.1892 0.1970  1 Si 1.60
O2 0.0026 0.8350 0.4157  1 Si 1.63
O3 0.0410 0.8131 0.0940  1 Si 1.63
O4 0.0425 0.7870 0.8061  1 S 1.46
O5 0.0471 0.1611 0.5983  1 S 1.47
O6 0.0611 0.1762 0.3116  1 Si 1.64
O7 0.1307 0.5026 0.1462  1 Si 1.66, 1 Ge 1.74
O8 0.1436 0.3527 0.6435  1 S 1.46
O9 0.1543 0.3643 0.9197  1 Si 1.62
O10 0.1676 0.2974 0.5370  1 S 1.50
O11 0.1729 0.0279 0.8128  1 Si 1.64, 1 Ge 1.80
O12 0.1734 0.5277 0.7500  1 S 1.47
O13 0.1761 0.8126 0.5995  1 Si 1.64, 1 Ge 1.81
O14 0.1765 0.5287 0.0281  1 Si 1.60
O15 0.1782 0.4823 0.4246  1 Si 1.62
O16 0.1995 0.7870 0.3076  1 S 1.51
O17 0.2010 0.0201 0.0956  1 S 1.48
O18 0.2122 0.9632 0.6966  1 Si 1.65, 1 Ge 1.81
O19 0.2151 0.8323 0.9119  1 S 1.49
O20 0.2167 0.9724 0.4168  1 S 1.49
O21 0.2223 0.2975 0.2415  1 Si 1.66, 1 Ge 1.82
O22 0.2267 0.8096 0.2008  1 S 1.46
O23 0.3088 0.5387 0.5354  1 Si 1.64
O24 0.3187 0.1772 0.7463  1 Si 1.69, 1 Ge 1.82
O25 0.3264 0.1483 0.0347  1 S 1.46
O26 0.3282 0.5262 0.2529  1 S 1.46
O27 0.3708 0.4839 0.6533  1 Si 1.64, 1 Ge 1.78
O28 0.3752 0.5166 0.9216  1 S 1.49
O29 0.3818 0.1266 0.4251  1 S 1.47
O30 0.3837 0.1217 0.1424  1 S 1.52
O31 0.4747 0.6962 0.9710  1 S 1.46
O32 0.4750 0.8431 0.4751  1 S 1.49
O33 0.4852 0.6892 0.2612  1 S 1.49
O34 0.4995 0.8686 0.3675  1 S 1.47
O35 0.5022 0.6466 0.8629  1 S 1.50
O36 0.5026 0.8183 0.7637  1 Si 1.68, 1 Ge 1.87
O37 0.5048 0.3683 0.1478  1 Si 1.70, 1 Ge 1.79
O38 0.5178 0.8663 0.0863  1 S 1.45
O39 0.5202 0.1213 0.6496  1 Si 1.62, 1 Ge 1.75
O40 0.5235 0.6276 0.5862  1 Si 1.62
O41 0.5278 0.1385 0.9270  1 Si 1.62
O42 0.5298 0.3471 0.4251  1 S 1.48
O43 0.5416 0.3077 0.0299  1 Si 1.59
O44 0.5480 0.2957 0.7505  1 S 1.54
O45 0.5492 0.1684 0.2490  1 S 1.44
O46 0.5686 0.1576 0.5327  1 Si 1.63
O47 0.6366 0.5321 0.0759  1 Si 1.65
O48 0.6442 0.8776 0.8601  1 Si 1.64, 1 Ge 1.74
O49 0.6608 0.4787 0.3669  1 S 1.49
O50 0.6755 0.8492 0.5872  1 Si 1.65
O51 0.6887 0.8547 0.2609  1 S 1.49
O52 0.7070 0.4511 0.4740  1 S 1.45
O53 0.7077 0.4583 0.7567  1 S 1.46
O54 0.7218 0.8144 0.9786  1 Si 1.65, 1 Ge 1.82
O55 0.8038 0.1723 0.8091  1 S 1.50
O56 0.8111 0.0175 0.3072  1 S 1.50
O57 0.8190 0.1838 0.0948  1 Si 1.64
O58 0.8319 0.9712 0.2017  1 S 1.47
O59 0.8385 0.1991 0.7007  1 S 1.48
O60 0.8464 0.0321 0.6039  1 Si 1.64
O61 0.8473 0.1953 0.4155  1 S 1.49
O62 0.8506 0.4479 0.9771  1 Si 1.64, 1 Ge 1.76
O63 0.8507 0.6892 0.7593  1 S 1.52
O64 0.8571 0.5088 0.8563  1 Si 1.65, 1 Ge 1.79
O65 0.8611 0.4822 0.2556  1 Si 1.66
O66 0.8621 0.6391 0.0803  1 Si 1.64, 1 Ge 1.79
O67 0.8620 0.6788 0.4788  1 Si 1.62
O68 0.8806 0.9507 0.9079  1 Si 1.67, 1 Ge 1.82
O69 0.8860 0.4750 0.5845  1 S 1.48
O70 0.8872 0.6421 0.3633  1 Si 1.64
O71 0.9823 0.1853 0.9113  1 Si 1.66, 1 Ge 1.78
O72 0.9823 0.8144 0.6988  1 S 1.53

The calculated density comes out at 3.7 g/cm³. As for the formation enthalpy at 0 K: -2.590 eV/atom. The value obtained for the magnetization is 0.000 μB per formula unit.

=====

No. 2
Na2HfSi2GeSO12 | PBE-GGA | relaxed

a b c (Å): 8.8246 8.8531 22.4032
angles (deg): 90.34 90.29 119.85
Closest atoms and distances in Å follow each position.
Sites, in units of the cell vectors:
Na1 0.0000 0.0000 0.0000  5 O 2.37-2.55
Na2 0.0004 0.3757 0.5004  5 O 2.33-2.52
Na3 0.0030 0.6875 0.5820  6 O 2.43-2.71
Na4 0.0079 0.6796 0.0785  5 O 2.40-2.63
Na5 0.3247 0.0351 0.1671  5 O 2.37-2.49
Na6 0.3345 0.6643 0.6689  5 O 2.39-2.56
Na7 0.3377 0.3564 0.2441  3 O 2.29-2.46
Na8 0.3389 0.3499 0.7494  5 O 2.39-2.64
Na9 0.6583 0.7015 0.8342  5 O 2.34-2.48
Na10 0.6644 0.3275 0.3319  5 O 2.32-2.58
Na11 0.6682 0.0141 0.4105  4 O 2.40-2.61
Na12 0.6754 0.0273 0.9162  4 O 2.35-2.56
Hf1 0.0419 0.6966 0.4292  6 O 1.97-2.19
Hf2 0.3609 0.3623 0.3873  6 O 1.98-2.18
Hf3 0.3726 0.3634 0.0992  6 O 1.98-2.19
Hf4 0.3766 0.3810 0.6009  5 O 1.96-2.19
Hf5 0.7006 0.0345 0.5613  6 O 2.02-2.18
Hf6 0.7051 0.0300 0.7706  5 O 1.96-2.17
Si1 0.0313 0.4119 0.3215  4 O 1.62-1.66
Si2 0.0495 0.9928 0.8308  4 O 1.64-1.65
Si3 0.3053 0.6896 0.8327  4 O 1.63-1.68
Si4 0.3257 0.9808 0.3194  4 O 1.63-1.67
Si5 0.3715 0.6638 0.4950  4 O 1.61-1.65
Si6 0.3760 0.0799 0.9938  4 O 1.64-1.67
Si7 0.6576 0.6564 0.9914  4 O 1.62-1.68
Si8 0.6600 0.3660 0.4923  4 O 1.63-1.64
Si9 0.7125 0.3237 0.1613  4 O 1.64-1.65
Si10 0.7161 0.7432 0.6668  4 O 1.62-1.64
Si11 0.9708 0.0244 0.1630  4 O 1.63-1.68
Si12 0.9908 0.3355 0.6653  4 O 1.62-1.66
Ge1 0.0215 0.6974 0.2232  5 O 1.83-2.00
Ge2 0.0300 0.6950 0.7303  5 O 1.85-2.01
Ge3 0.0441 0.7293 0.9327  4 O 1.78-1.89
Ge4 0.3607 0.3652 0.8938  5 O 1.87-2.01
Ge5 0.6932 0.0264 0.0598  5 O 1.85-2.00
Ge6 0.7080 0.0595 0.2632  4 O 1.78-1.86
S1 0.0722 0.3703 0.9935  4 O 1.46-1.51
S2 0.0746 0.0734 0.4954  4 O 1.46-1.48
S3 0.4002 0.0295 0.6650  4 O 1.46-1.50
S4 0.4111 0.7485 0.1621  4 O 1.46-1.50
S5 0.7426 0.7084 0.3250  4 O 1.45-1.50
S6 0.7440 0.4163 0.8312  4 O 1.46-1.50
O1 0.0009 0.8524 0.1692  1 Si 1.68
O2 0.0225 0.5354 0.6726  1 Si 1.66
O3 0.0504 0.5232 0.9880  1 S 1.46
O4 0.0499 0.8982 0.4884  1 S 1.46
O5 0.0512 0.5409 0.2671  1 Si 1.62
O6 0.0721 0.8921 0.7730  1 Si 1.64
O7 0.1529 0.3351 0.9400  1 S 1.51
O8 0.1564 0.1801 0.4416  1 S 1.48
O9 0.1677 0.1967 0.1577  1 Si 1.65
O10 0.1767 0.1529 0.5499  1 S 1.47
O11 0.1790 0.3948 0.0478  1 S 1.48
O12 0.1850 0.3538 0.6618  1 Si 1.64
O13 0.1954 0.6809 0.4909  1 Si 1.64
O14 0.1962 0.6617 0.7695  1 Si 1.66, 1 Ge 1.85
O15 0.1956 0.8858 0.9876  1 Si 1.67, 1 Ge 1.83
O16 0.1996 0.8929 0.2604  1 Si 1.64
O17 0.2011 0.3881 0.3262  1 Si 1.62
O18 0.2036 0.7119 0.8895  1 Si 1.63, 1 Ge 1.78
O19 0.2222 0.1867 0.8391  1 Si 1.64
O20 0.2294 0.8661 0.6674  1 S 1.48
O21 0.2354 0.7344 0.1643  1 S 1.49
O22 0.2370 0.8701 0.3794  1 Si 1.63
O23 0.3243 0.1521 0.0534  1 Si 1.64
O24 0.3311 0.5447 0.5552  1 Si 1.65
O25 0.3364 0.5184 0.8386  1 Si 1.68
O26 0.3602 0.1815 0.3249  1 Si 1.65
O27 0.3736 0.1796 0.6583  1 S 1.47
O28 0.3797 0.5548 0.4377  1 Si 1.62
O29 0.3881 0.5719 0.1558  1 S 1.48
O30 0.4004 0.2077 0.9373  1 Si 1.64
O31 0.4862 0.0060 0.6108  1 S 1.50
O32 0.4888 0.8562 0.1072  1 S 1.50
O33 0.5014 0.8633 0.8282  1 Si 1.65
O34 0.5058 0.0550 0.7182  1 S 1.46
O35 0.5166 0.8262 0.2161  1 S 1.46
O36 0.5215 0.9958 0.3148  1 Si 1.67, 1 Ge 1.86
O37 0.5347 0.3407 0.1560  1 Si 1.65
O38 0.5354 0.5688 0.9309  1 Si 1.66
O39 0.5403 0.5501 0.6606  1 Si 1.64
O40 0.5430 0.8532 0.4999  1 Si 1.61
O41 0.5478 0.0559 0.0044  1 Si 1.65
O42 0.5481 0.3382 0.4306  1 Si 1.64
O43 0.5559 0.3774 0.5503  1 Si 1.63
O44 0.5647 0.5368 0.0490  1 Si 1.62
O45 0.5681 0.4037 0.8334  1 S 1.50
O46 0.5684 0.5453 0.3296  1 S 1.50
O47 0.6569 0.2015 0.2214  1 Si 1.65, 1 Ge 1.80
O48 0.6640 0.8222 0.7243  1 Si 1.64
O49 0.6902 0.8589 0.0006  1 Si 1.68
O50 0.6967 0.2022 0.4973  1 Si 1.64
O51 0.7178 0.2387 0.8255  1 S 1.48
O52 0.7202 0.8598 0.3197  1 S 1.45
O53 0.7337 0.2209 0.1038  1 Si 1.64
O54 0.7370 0.8612 0.6082  1 Si 1.64
O55 0.8206 0.5219 0.7758  1 S 1.50
O56 0.8205 0.6715 0.2720  1 S 1.49
O57 0.8465 0.7313 0.3800  1 S 1.48
O58 0.8503 0.4954 0.8846  1 S 1.46
O59 0.8498 0.5449 0.4900  1 Si 1.64
O60 0.8521 0.2172 0.3187  1 Si 1.66, 1 Ge 1.82
O61 0.8572 0.6782 0.9846  1 Si 1.68
O62 0.8592 0.9939 0.0999  1 Si 1.66, 1 Ge 1.86
O63 0.8719 0.0100 0.8256  1 Si 1.65
O64 0.8716 0.0459 0.2209  1 Si 1.63, 1 Ge 1.78
O65 0.8835 0.2112 0.7202  1 Si 1.62
O66 0.8832 0.2570 0.6022  1 Si 1.64
O67 0.8837 0.5194 0.1684  1 Si 1.64
O68 0.8898 0.7270 0.6760  1 Si 1.62
O69 0.8992 0.2067 0.9978  1 S 1.50
O70 0.9019 0.0634 0.4990  1 S 1.48
O71 0.9878 0.4845 0.3833  1 Si 1.65
O72 0.9921 0.8683 0.8900  1 Si 1.64, 1 Ge 1.79

The calculated density comes out at 3.8 g/cm³. As for the formation enthalpy at 0 K: -2.692 eV/atom. The value obtained for the magnetization is 0.000 μB per formula unit.

=====

> Which of these has the lowest calculated density?

Na2Hf2Si3Ge2S3O24